A plane-wave DFT calculation with PBE-GGA was carried out for a geometry-optimized MgSi2 structure.

Values from the calculation:
Crystal system = monoclinic
Energy relative to the elements = 0.1664 eV per atom
Space-group type = C2/m (12)

Cell lengths 5.6356, 5.6356, 7.4860 Å; angles 96.35, 96.35, 63.11 degrees
Last column: nearest neighbours and their distance in Å.
Element x y z (fractional)
Mg  0.0821  0.0821  0.1837  8 Si 2.86-3.05, 3 Mg 2.99-3.01
Mg  0.3859  0.3859  0.7455  10 Si 2.83-3.15, 2 Mg 3.01
Mg  0.6141  0.6141  0.2545  10 Si 2.83-3.15, 2 Mg 3.01
Mg  0.9179  0.9179  0.8163  8 Si 2.86-3.05, 3 Mg 2.99-3.01
Si  0.0676  0.6612  0.4462  4 Si 2.40-2.62
Si  0.1409  0.5481  0.1244  3 Si 2.40-2.49
Si  0.3388  0.9324  0.5538  4 Si 2.40-2.62
Si  0.4519  0.8591  0.8756  3 Si 2.40-2.49
Si  0.5481  0.1409  0.1244  3 Si 2.40-2.49
Si  0.6612  0.0676  0.4462  4 Si 2.40-2.62
Si  0.8591  0.4519  0.8756  3 Si 2.40-2.49
Si  0.9324  0.3388  0.5538  4 Si 2.40-2.62